[1]
# Na4CrH6ClO7 | Materials Project | PBE with a Hubbard U | relaxed
# VASP energy: -4.889 eV per atom
# Formation energy: -1.469 eV/atom
data_Na4CrH6ClO7
_chemical_formula_sum 'Na8 Cr2 H12 Cl2 O14'
_cell_length_a 5.944
_cell_length_b 8.857
_cell_length_c 8.858
_cell_angle_alpha 98.81
_cell_angle_beta 99.39
_cell_angle_gamma 100.41
_symmetry_space_group_name_H-M 'P -1'
_symmetry_Int_Tables_number 2
loop_
_symmetry_equiv_pos_as_xyz
'x,y,z'
'-x,-y,-z'
loop_
_atom_site_label
_atom_site_type_symbol
_atom_site_fract_x
_atom_site_fract_y
_atom_site_fract_z
Na1 Na 0.234 0.436 0.042
Na2 Na 0.250 0.061 0.942
Na3 Na 0.253 0.316 0.686
Na4 Na 0.264 0.954 0.567
Cr1 Cr 0.251 0.812 0.187
H1 H 0.086 0.764 0.891
H2 H 0.088 0.038 0.310
H3 H 0.097 0.560 0.279
H4 H 0.413 0.720 0.442
H5 H 0.418 0.693 0.961
H6 H 0.425 0.112 0.231
Cl1 Cl 0.489 0.372 0.300
O1 O 0.031 0.925 0.295
O2 O 0.032 0.267 0.424
O3 O 0.042 0.608 0.192
O4 O 0.044 0.811 0.986
O5 O 0.453 0.809 0.391
O6 O 0.462 0.011 0.189
O7 O 0.466 0.700 0.074

---

[2]
# KCrClO3 | Materials Project | PBE with a Hubbard U | relaxed
# VASP energy: -5.594 eV per atom
# Formation energy: -1.695 eV/atom
data_KCrClO3
_chemical_formula_sum 'K4 Cr4 Cl4 O12'
_cell_length_a 8.390
_cell_length_b 7.422
_cell_length_c 7.932
_cell_angle_alpha 90.00
_cell_angle_beta 92.01
_cell_angle_gamma 90.00
_symmetry_space_group_name_H-M 'P 1 21/c 1'
_symmetry_Int_Tables_number 14
loop_
_symmetry_equiv_pos_as_xyz
'x,y,z'
'-x,-y,-z'
'-x,y+1/2,-z+1/2'
'x,-y+1/2,z+1/2'
loop_
_atom_site_label
_atom_site_type_symbol
_atom_site_fract_x
_atom_site_fract_y
_atom_site_fract_z
K1 K 0.176 0.142 0.134
Cr1 Cr 0.222 0.622 0.126
Cl1 Cl 0.442 0.721 0.641
O1 O 0.072 0.738 0.611
O2 O 0.210 0.001 0.796
O3 O 0.225 0.011 0.463

---

[3]
# KCr12Si8ClO28 | Materials Project | PBE with a Hubbard U | relaxed
# VASP energy: -7.763 eV per atom
# Formation energy: -2.613 eV/atom
data_KCr12Si8ClO28
_chemical_formula_sum 'K2 Cr24 Si16 Cl2 O56'
_cell_length_a 10.557
_cell_length_b 10.557
_cell_length_c 13.178
_cell_angle_alpha 90.00
_cell_angle_beta 90.00
_cell_angle_gamma 90.00
_symmetry_space_group_name_H-M 'I 4 m m'
_symmetry_Int_Tables_number 107
_symmetry_space_group_name_Hall 'I 4 -2'
loop_
_atom_site_label
_atom_site_type_symbol
_atom_site_fract_x
_atom_site_fract_y
_atom_site_fract_z
K1 K 0.000 0.000 0.000
Cr1 Cr 0.000 0.226 0.240
Cr2 Cr 0.000 0.230 0.677
Cr3 Cr 0.000 0.318 0.457
Si1 Si 0.221 0.221 0.845
Si2 Si 0.222 0.222 0.069
Cl1 Cl 0.000 0.000 0.388
O1 O 0.125 0.308 0.575
O2 O 0.127 0.310 0.338
O3 O 0.145 0.145 0.156
O4 O 0.145 0.145 0.756
O5 O 0.172 0.172 0.957

---

[4]
# NaCr12Si8ClO28 | Materials Project | PBE with a Hubbard U | relaxed
# VASP energy: -7.762 eV per atom
# Formation energy: -2.608 eV/atom
data_NaCr12Si8ClO28
_chemical_formula_sum 'Na2 Cr24 Si16 Cl2 O56'
_cell_length_a 10.451
_cell_length_b 10.451
_cell_length_c 13.205
_cell_angle_alpha 90.00
_cell_angle_beta 90.00
_cell_angle_gamma 90.00
_symmetry_space_group_name_H-M 'I 4 m m'
_symmetry_Int_Tables_number 107
_symmetry_space_group_name_Hall 'I 4 -2'
loop_
_atom_site_label
_atom_site_type_symbol
_atom_site_fract_x
_atom_site_fract_y
_atom_site_fract_z
Na1 Na 0.000 0.000 0.000
Cr1 Cr 0.000 0.228 0.245
Cr2 Cr 0.000 0.232 0.677
Cr3 Cr 0.000 0.324 0.459
Si1 Si 0.217 0.217 0.848
Si2 Si 0.219 0.219 0.071
Cl1 Cl 0.000 0.000 0.397
O1 O 0.127 0.311 0.576
O2 O 0.129 0.314 0.342
O3 O 0.142 0.142 0.160
O4 O 0.143 0.143 0.756
O5 O 0.165 0.165 0.960

---

[5]
# CrCl3O | Materials Project | PBE with a Hubbard U | relaxed
# VASP energy: -4.327 eV per atom
# Formation energy: -0.835 eV/atom
data_CrCl3O
_chemical_formula_sum 'Cr8 Cl24 O8'
_cell_length_a 5.956
_cell_length_b 14.527
_cell_length_c 12.160
_cell_angle_alpha 90.00
_cell_angle_beta 99.35
_cell_angle_gamma 90.00
_symmetry_space_group_name_H-M 'P 1 21/c 1'
_symmetry_Int_Tables_number 14
loop_
_symmetry_equiv_pos_as_xyz
'x,y,z'
'-x,-y,-z'
'-x,y+1/2,-z+1/2'
'x,-y+1/2,z+1/2'
loop_
_atom_site_label
_atom_site_type_symbol
_atom_site_fract_x
_atom_site_fract_y
_atom_site_fract_z
Cr1 Cr 0.041 0.202 0.233
Cr2 Cr 0.445 0.010 0.279
Cl1 Cl 0.077 0.725 0.629
Cl2 Cl 0.142 0.065 0.145
Cl3 Cl 0.212 0.526 0.123
Cl4 Cl 0.306 0.686 0.360
Cl5 Cl 0.344 0.147 0.367
Cl6 Cl 0.428 0.061 0.857
O1 O 0.151 0.222 0.667
O2 O 0.332 0.567 0.842

---

[6]
# Cr3Pb5ClO12 | Materials Project | PBE with a Hubbard U | relaxed
# VASP energy: -6.178 eV per atom
# Formation energy: -1.678 eV/atom
data_Cr3Pb5ClO12
_chemical_formula_sum 'Cr6 Pb10 Cl2 O24'
_cell_length_a 10.4152
_cell_length_b 10.4152
_cell_length_c 7.3800
_cell_angle_alpha 90.00
_cell_angle_beta 90.00
_cell_angle_gamma 120.00
_symmetry_space_group_name_H-M 'P 63/m'
_symmetry_Int_Tables_number 176
_symmetry_space_group_name_Hall '-P 6c'
loop_
_atom_site_label
_atom_site_type_symbol
_atom_site_fract_x
_atom_site_fract_y
_atom_site_fract_z
Cr1 Cr 0.0272 0.6175 0.2500
Pb1 Pb 0.0140 0.2568 0.2500
Pb2 Pb 0.3333 0.6667 0.5071
Cl1 Cl 0.0000 0.0000 0.0000
O1 O 0.0908 0.7317 0.0633
O2 O 0.1248 0.5210 0.2500
O3 O 0.1643 0.4895 0.7500

---

[7]
# RbCrClO3 | Materials Project | PBE with a Hubbard U | relaxed
# VASP energy: -5.581 eV per atom
# Formation energy: -1.703 eV/atom
data_RbCrClO3
_chemical_formula_sum 'Rb4 Cr4 Cl4 O12'
_cell_length_a 8.286
_cell_length_b 7.765
_cell_length_c 8.256
_cell_angle_alpha 90.00
_cell_angle_beta 90.71
_cell_angle_gamma 90.00
_symmetry_space_group_name_H-M 'P 1 21/c 1'
_symmetry_Int_Tables_number 14
loop_
_symmetry_equiv_pos_as_xyz
'x,y,z'
'-x,-y,-z'
'-x,y+1/2,-z+1/2'
'x,-y+1/2,z+1/2'
loop_
_atom_site_label
_atom_site_type_symbol
_atom_site_fract_x
_atom_site_fract_y
_atom_site_fract_z
Rb1 Rb 0.185 0.143 0.134
Cr1 Cr 0.222 0.626 0.126
Cl1 Cl 0.445 0.724 0.639
O1 O 0.072 0.740 0.613
O2 O 0.207 0.509 0.289
O3 O 0.226 0.000 0.469

---

[8]
# Cr3Se2ClO8 | Materials Project | PBE with a Hubbard U | relaxed
# VASP energy: -6.244 eV per atom
# Formation energy: -1.538 eV/atom
data_Cr3Se2ClO8
_chemical_formula_sum 'Cr6 Se4 Cl2 O16'
_cell_length_a 7.918
_cell_length_b 6.415
_cell_length_c 10.059
_cell_angle_alpha 90.00
_cell_angle_beta 90.66
_cell_angle_gamma 90.00
_symmetry_space_group_name_H-M 'P 1 21/m 1'
_symmetry_Int_Tables_number 11
loop_
_symmetry_equiv_pos_as_xyz
'x,y,z'
'-x,-y,-z'
'-x,y+1/2,-z'
'x,-y+1/2,z'
loop_
_atom_site_label
_atom_site_type_symbol
_atom_site_fract_x
_atom_site_fract_y
_atom_site_fract_z
Cr1 Cr 0.000 0.000 0.000
Cr2 Cr 0.000 0.000 0.500
Cr3 Cr 0.198 0.250 0.250
Se1 Se 0.354 0.250 0.557
Se2 Se 0.358 0.250 0.955
Cl1 Cl 0.107 0.750 0.169
O1 O 0.039 0.250 0.397
O2 O 0.042 0.250 0.111
O3 O 0.223 0.033 0.575
O4 O 0.230 0.036 0.927
O5 O 0.385 0.250 0.388
O6 O 0.387 0.250 0.126